Compound: ZrCu2P2
Source: the Materials Project
Functional: GGA-PBE
Structure: relaxed

Cell: 3.8212 3.8212 6.1662 Å, 90.00 90.00 120.00°
Space group P-3m1 (No. 164)
Inequivalent atoms, fractional coordinates:
Zr1 0.0000 0.0000 0.0000 (multiplicity 1)
Cu1 0.3333 0.6667 0.3594 (multiplicity 2)
P1 0.3333 0.6667 0.7485 (multiplicity 2)

Results
E_form (eV/atom): -0.659